# 1
! Ba2TiO4 PBE relaxed; values from VASP
! **Calculated volume**: 18.47 A^3/atom
! **Symmetry**: P2_1/c
! **Energy of formation from the pure elements**: -23.79 eV/f.u.
&SYSTEM
  ibrav = 0, nat = 28, ntyp = 3
/
ATOMIC_SPECIES
Ba 137.33 Ba.upf
Ti 47.87 Ti.upf
O 16.00 O.upf
ATOMIC_POSITIONS angstrom
Ba -1.5093 0.0237 3.2082
Ba -4.2698 3.8636 8.5377
Ba -1.2605 5.1342 6.1099
Ba 1.5001 6.5276 0.7803
Ba -0.7812 1.2469 9.8788
Ba 1.9793 2.6404 4.5492
Ba 4.9886 3.9110 2.1214
Ba 2.2281 7.7508 7.4510
Ti -1.0723 1.7114 6.2187
Ti 1.6882 2.1758 0.8892
Ti -0.9694 5.5987 9.7700
Ti 1.7912 6.0631 4.4404
O 0.1362 1.3592 1.4603
O -2.6243 2.5280 6.7898
O -3.4765 1.4041 9.9084
O -0.7160 2.4832 4.5789
O 1.3678 3.9433 0.6770
O -1.3928 7.7185 6.0066
O 0.3774 5.7874 3.2919
O -2.3831 5.8744 8.6215
O 3.1019 1.9002 2.0377
O 0.3414 1.9871 7.3672
O 2.1116 0.0560 4.6526
O -0.6489 3.8313 9.9822
O 1.4348 5.2913 6.0803
O 4.1953 6.3705 0.7507
O 3.3431 5.2465 3.8693
O 0.5826 6.4153 9.1989
CELL_PARAMETERS angstrom
6.2399 0.0000 0.0000
0.0000 7.7746 0.0000
-5.5210 0.0000 10.6591


# 2
! Ba2Ti2TlO7 PBE relaxed; values from VASP
! **Calculated volume**: 16.13 A^3/atom
! **Symmetry**: P4/mmm
! **Energy of formation from the pure elements**: -31.10 eV/f.u.
&SYSTEM
  ibrav = 0, nat = 12, ntyp = 4
/
ATOMIC_SPECIES
Ba 137.33 Ba.upf
Ti 47.87 Ti.upf
Tl 204.38 Tl.upf
O 16.00 O.upf
ATOMIC_POSITIONS angstrom
Ba 0.0000 0.0000 2.6902
Ba 0.0000 0.0000 10.6680
Ti 1.9030 1.9030 5.0616
Ti 1.9030 1.9030 8.2966
Tl 1.9030 1.9030 0.0000
O 0.0000 0.0000 0.0000
O 0.0000 1.9030 4.8084
O 0.0000 1.9030 8.5498
O 1.9030 0.0000 4.8084
O 1.9030 0.0000 8.5498
O 1.9030 1.9030 2.1390
O 1.9030 1.9030 11.2191
CELL_PARAMETERS angstrom
3.8060 0.0000 0.0000
0.0000 3.8060 0.0000
0.0000 0.0000 13.3582


# 3
! Ba2Ti3Tl2O10 PBE relaxed; values from VASP
! **Calculated volume**: 15.45 A^3/atom
! **Symmetry**: P1
! **Energy of formation from the pure elements**: -47.04 eV/f.u.
&SYSTEM
  ibrav = 0, nat = 17, ntyp = 4
/
ATOMIC_SPECIES
Ba 137.33 Ba.upf
Ti 47.87 Ti.upf
Tl 204.38 Tl.upf
O 16.00 O.upf
ATOMIC_POSITIONS angstrom
Ba 0.0000 0.0000 0.0000
Ba 1.8660 1.7814 8.6046
Ti 1.6927 0.0213 4.2379
Ti 2.0867 1.9984 1.9988
Ti 3.8531 3.6947 6.5401
Tl 2.1094 1.7200 13.9516
Tl 3.9081 3.7293 11.5324
O 1.3367 1.7256 11.9999
O 1.8681 -0.0941 6.1875
O 1.8476 1.7094 16.2242
O 1.8950 -0.0064 2.1554
O 1.8931 1.9827 3.8804
O 3.2409 3.7201 13.9342
O 3.8635 1.9937 1.7615
O 3.8502 1.9187 6.6379
O 3.8950 -0.0890 8.3937
O 3.9132 -0.0206 4.4609
CELL_PARAMETERS angstrom
3.9937 0.0000 0.0000
0.0000 3.9975 0.0000
-0.0511 -0.2917 16.4568


# 4
! Ba2YTi2TlO7 PBE relaxed; values from VASP
! **Calculated volume**: 15.89 A^3/atom
! **Symmetry**: P4/mmm
! **Energy of formation from the pure elements**: -39.15 eV/f.u.
&SYSTEM
  ibrav = 0, nat = 13, ntyp = 5
/
ATOMIC_SPECIES
Ba 137.33 Ba.upf
Y 88.91 Y.upf
Ti 47.87 Ti.upf
Tl 204.38 Tl.upf
O 16.00 O.upf
ATOMIC_POSITIONS angstrom
Ba 0.0000 0.0000 2.5612
Ba 0.0000 0.0000 10.6540
Y 0.0000 0.0000 6.6076
Ti 1.9771 1.9771 4.8556
Ti 1.9771 1.9771 8.3596
Tl 1.9771 1.9771 0.0000
O 0.0000 0.0000 0.0000
O 0.0000 1.9771 5.1386
O 0.0000 1.9771 8.0766
O 1.9771 0.0000 5.1386
O 1.9771 0.0000 8.0766
O 1.9771 1.9771 2.9494
O 1.9771 1.9771 10.2658
CELL_PARAMETERS angstrom
3.9542 0.0000 0.0000
0.0000 3.9542 0.0000
0.0000 0.0000 13.2152


# 5
! Ba2YTi3O7 PBE relaxed; values from VASP
! **Calculated volume**: 14.10 A^3/atom
! **Symmetry**: Pmmm
! **Energy of formation from the pure elements**: -41.34 eV/f.u.
&SYSTEM
  ibrav = 0, nat = 13, ntyp = 4
/
ATOMIC_SPECIES
Ba 137.33 Ba.upf
Y 88.91 Y.upf
Ti 47.87 Ti.upf
O 16.00 O.upf
ATOMIC_POSITIONS angstrom
Ba 0.0000 0.0000 2.0117
Ba 0.0000 0.0000 9.4795
Y 0.0000 0.0000 5.7456
Ti 1.9865 2.0076 0.0000
Ti 1.9865 2.0076 4.1786
Ti 1.9865 2.0076 7.3126
O 0.0000 2.0076 4.2496
O 0.0000 2.0076 7.2416
O 1.9865 0.0000 0.0000
O 1.9865 0.0000 4.2495
O 1.9865 0.0000 7.2418
O 1.9865 2.0076 1.9736
O 1.9865 2.0076 9.5176
CELL_PARAMETERS angstrom
3.9730 0.0000 0.0000
0.0000 4.0152 0.0000
0.0000 0.0000 11.4912


# 6
! BaYTi4O7 PBE relaxed; values from VASP
! **Calculated volume**: 14.52 A^3/atom
! **Symmetry**: P6_3mc
! **Energy of formation from the pure elements**: -39.91 eV/f.u.
&SYSTEM
  ibrav = 0, nat = 26, ntyp = 4
/
ATOMIC_SPECIES
Ba 137.33 Ba.upf
Y 88.91 Y.upf
Ti 47.87 Ti.upf
O 16.00 O.upf
ATOMIC_POSITIONS angstrom
Ba 0.0000 3.6852 0.0000
Ba 3.1915 1.8426 5.3484
Y 0.0000 3.6852 3.8495
Y 3.1915 1.8426 9.1979
Ti 0.0000 0.0000 5.1811
Ti 0.0000 0.0000 10.5295
Ti 0.0000 1.6723 7.2754
Ti -1.7432 4.6917 7.2754
Ti 1.4483 0.8362 1.9270
Ti 1.7432 4.6917 7.2754
Ti 4.9347 0.8362 1.9270
Ti 3.1915 3.8555 1.9270
O 0.0000 0.0000 3.0822
O 0.0000 0.0000 8.4306
O -1.5370 2.7978 7.9094
O 0.0000 1.9501 5.3195
O -1.5026 4.5528 5.3195
O 1.6889 0.9751 10.6680
O 1.5370 2.7978 7.9094
O 0.0000 5.4600 7.9094
O 3.1915 0.0678 2.5610
O 1.6545 2.7300 2.5610
O 1.5026 4.5528 5.3195
O 4.6941 0.9751 10.6680
O 3.1915 3.5777 10.6680
O 4.7285 2.7300 2.5610
CELL_PARAMETERS angstrom
6.3830 0.0000 0.0000
-3.1915 5.5278 0.0000
0.0000 0.0000 10.6968


# 7
! Ba4Zr3TiO12 PBE relaxed; values from VASP
! **Calculated volume**: 14.91 A^3/atom
! **Symmetry**: P4/mmm
! **Energy of formation from the pure elements**: -71.75 eV/f.u.
&SYSTEM
  ibrav = 0, nat = 20, ntyp = 4
/
ATOMIC_SPECIES
Ba 137.33 Ba.upf
Zr 91.22 Zr.upf
Ti 47.87 Ti.upf
O 16.00 O.upf
ATOMIC_POSITIONS angstrom
Ba 0.0000 0.0000 1.9500
Ba 0.0000 0.0000 6.2576
Ba 0.0000 0.0000 10.5233
Ba 0.0000 0.0000 14.8309
Zr 2.1079 2.1079 4.1343
Zr 2.1079 2.1079 8.3905
Zr 2.1079 2.1079 12.6466
Ti 2.1079 2.1079 0.0000
O 0.0000 2.1079 0.0000
O 0.0000 2.1079 4.1452
O 0.0000 2.1079 8.3905
O 0.0000 2.1079 12.6358
O 2.1079 0.0000 0.0000
O 2.1079 0.0000 4.1452
O 2.1079 0.0000 8.3905
O 2.1079 0.0000 12.6358
O 2.1079 2.1079 1.9521
O 2.1079 2.1079 6.2581
O 2.1079 2.1079 10.5228
O 2.1079 2.1079 14.8288
CELL_PARAMETERS angstrom
4.2157 0.0000 0.0000
0.0000 4.2157 0.0000
0.0000 0.0000 16.7809


# 8
! Ba2ZrTiO6 PBE relaxed; values from VASP
! **Calculated volume**: 14.26 A^3/atom
! **Symmetry**: Fm-3m
! **Energy of formation from the pure elements**: -35.61 eV/f.u.
&SYSTEM
  ibrav = 0, nat = 10, ntyp = 4
/
ATOMIC_SPECIES
Ba 137.33 Ba.upf
Zr 91.22 Zr.upf
Ti 47.87 Ti.upf
O 16.00 O.upf
ATOMIC_POSITIONS angstrom
Ba 2.0734 2.0734 2.0734
Ba 6.2201 6.2201 6.2201
Zr 0.0000 0.0000 0.0000
Ti 4.1467 4.1467 4.1467
O 4.1467 4.1467 2.1354
O 4.1467 2.1354 4.1467
O 6.1580 4.1467 4.1467
O 2.1354 4.1467 4.1467
O 4.1467 6.1580 4.1467
O 4.1467 4.1467 6.1580
CELL_PARAMETERS angstrom
0.0000 4.1467 4.1467
4.1467 0.0000 4.1467
4.1467 4.1467 0.0000


# 9
! BaTm2O4 PBE relaxed; values from VASP
! **Offset from the most stable computed form**: 0.0000 eV/atom
! **Calculated volume**: 15.34 A^3/atom
! **Symmetry**: Pnma
! **Energy of formation from the pure elements**: -26.16 eV/f.u.
&SYSTEM
  ibrav = 0, nat = 28, ntyp = 3
/
ATOMIC_SPECIES
Ba 137.33 Ba.upf
Tm 168.93 Tm.upf
O 16.00 O.upf
ATOMIC_POSITIONS angstrom
Ba 2.5787 0.8567 1.7902
Ba 2.6235 2.5700 7.8122
Ba 7.7809 0.8567 4.2318
Ba 7.8258 2.5700 10.2538
Tm 0.7713 0.8567 4.6928
Tm 0.7917 0.8567 10.7340
Tm 4.4105 2.5700 4.7120
Tm 4.4309 2.5700 10.7148
Tm 5.9735 0.8567 1.3292
Tm 5.9939 0.8567 7.3320
Tm 9.6127 2.5700 1.3100
Tm 9.6331 2.5700 7.3512
O 0.1691 2.5700 9.4247
O 0.7038 0.8567 6.9154
O 1.1779 2.5700 0.1966
O 2.1961 2.5700 4.1586
O 3.0061 0.8567 10.1806
O 4.0243 0.8567 6.2186
O 4.4984 2.5700 0.8934
O 5.0331 0.8567 3.4027
O 5.3714 2.5700 8.6413
O 5.9060 0.8567 11.1506
O 6.3801 2.5700 5.8254
O 7.3984 2.5700 1.8634
O 8.2083 0.8567 7.8855
O 9.2266 0.8567 11.8474
O 9.7007 2.5700 5.1286
O 10.2353 0.8567 2.6193
CELL_PARAMETERS angstrom
10.4045 0.0000 0.0000
0.0000 3.4267 0.0000
0.0000 0.0000 12.0440


# 10
! Ba3Tm4O9 PBE relaxed; values from VASP
! **Calculated volume**: 16.80 A^3/atom
! **Symmetry**: R3
! **Energy of formation from the pure elements**: -58.03 eV/f.u.
&SYSTEM
  ibrav = 0, nat = 16, ntyp = 3
/
ATOMIC_SPECIES
Ba 137.33 Ba.upf
Tm 168.93 Tm.upf
O 16.00 O.upf
ATOMIC_POSITIONS angstrom
Ba 0.0000 0.0000 0.0000
Ba 0.0000 0.0000 4.1461
Ba 0.0000 0.0000 14.7666
Tm 0.0000 0.0000 7.5722
Tm 0.0000 0.0000 10.7315
Tm 0.0000 0.0000 18.6450
Tm 0.0000 0.0000 21.7945
O -0.3158 -1.7584 6.2759
O -1.5953 -0.6142 9.0491
O -1.7417 -0.6400 11.8829
O -1.3649 1.1527 6.2759
O 1.3295 -1.0745 9.0492
O 0.2657 1.6886 9.0492
O 1.6807 0.6057 6.2759
O 1.4251 -1.1884 11.8829
O 0.3166 1.8284 11.8829
CELL_PARAMETERS angstrom
3.0373 1.7536 8.4116
-3.0373 1.7536 8.4116
0.0000 -3.5072 8.4116


# 11
! Ba4Tm6O13 PBE relaxed; values from VASP
! **Calculated volume**: 17.30 A^3/atom
! **Symmetry**: Iba2
! **Energy of formation from the pure elements**: -83.00 eV/f.u.
&SYSTEM
  ibrav = 0, nat = 46, ntyp = 3
/
ATOMIC_SPECIES
Ba 137.33 Ba.upf
Tm 168.93 Tm.upf
O 16.00 O.upf
ATOMIC_POSITIONS angstrom
Ba 7.8157 3.3833 0.0048
Ba 1.4790 3.5334 0.0000
Ba 7.6458 7.1041 0.0000
Ba 1.6489 7.2542 0.0048
Ba 4.5179 3.3833 3.0375
Ba -1.4790 3.5334 3.0327
Ba 4.6878 7.1041 3.0327
Ba -1.6489 7.2542 3.0375
Tm 7.7354 -0.7757 0.4482
Tm 11.0439 1.0628 0.0649
Tm 4.5982 0.7757 0.4482
Tm 4.6390 5.1974 -0.0032
Tm 4.6390 -5.1974 3.0295
Tm 4.8771 9.5748 0.0649
Tm 4.5982 -0.7757 3.4809
Tm 1.2896 1.0628 3.0977
Tm 1.5686 11.4132 0.4482
Tm 1.5278 15.8349 -0.0032
Tm 1.5278 5.4402 3.0295
Tm -4.8771 9.5748 3.0977
O 3.0706 -5.2196 1.5216
O 6.1944 -5.1129 1.5442
O 4.6761 -7.4971 2.8803
O 4.5517 2.8353 0.0936
O 6.1668 0.0000 1.8835
O 0.8171 -1.0685 2.2112
O 4.6761 7.4971 -0.1524
O 2.7954 9.9932 -0.7290
O 4.5517 -2.8353 3.1264
O 3.3714 0.6443 2.3037
O 5.3497 11.7060 -0.8215
O 6.1391 5.1129 1.5442
O 3.0962 15.8571 -1.5111
O 3.0962 5.4179 1.5216
O -0.0277 5.5246 1.5442
O 1.4907 3.1404 2.8803
O 1.6151 13.4728 0.0936
O 0.0000 10.6375 1.8835
O 5.3497 9.5690 2.2112
O 1.4907 18.1347 -0.1524
O -2.7954 9.9932 2.3037
O 1.6151 7.8022 3.1264
O 2.7954 11.2819 2.3037
O 0.8171 1.0685 5.2439
O 0.0277 15.7504 1.5442
O 3.0706 5.2196 4.5543
CELL_PARAMETERS angstrom
-6.1668 10.6375 3.0327
6.1668 -10.6375 3.0327
6.1668 10.6375 -3.0327


# 12
! BaTm2O4 PBE relaxed; values from VASP
! **Offset from the most stable computed form**: 0.0414 eV/atom
! **Calculated volume**: 15.57 A^3/atom
! **Symmetry**: Cmcm
! **Energy of formation from the pure elements**: -25.87 eV/f.u.
&SYSTEM
  ibrav = 0, nat = 14, ntyp = 3
/
ATOMIC_SPECIES
Ba 137.33 Ba.upf
Tm 168.93 Tm.upf
O 16.00 O.upf
ATOMIC_POSITIONS angstrom
Ba 1.7038 4.3683 8.5499
Ba 1.7038 -4.3683 2.8500
Tm 1.7038 1.5188 6.5010
Tm 1.7038 1.5188 10.5987
Tm 1.7038 -1.5188 0.8011
Tm 1.7038 -1.5188 4.8988
O 0.0000 0.0000 0.0000
O 0.0000 0.0000 5.6999
O 1.7038 2.6928 1.1473
O 1.7038 2.6928 4.5526
O 1.7038 0.7486 8.5499
O 1.7038 -0.7486 2.8500
O 1.7038 -2.6928 6.8472
O 1.7038 -2.6928 10.2525
CELL_PARAMETERS angstrom
1.7038 -5.6096 0.0000
1.7038 5.6096 0.0000
0.0000 0.0000 11.3998


# 13
! BaTm2O4 PBE relaxed; values from VASP
! **Offset from the most stable computed form**: 0.0020 eV/atom
! **Calculated volume**: 16.42 A^3/atom
! **Symmetry**: C2/c
! **Energy of formation from the pure elements**: -26.15 eV/f.u.
&SYSTEM
  ibrav = 0, nat = 42, ntyp = 3
/
ATOMIC_SPECIES
Ba 137.33 Ba.upf
Tm 168.93 Tm.upf
O 16.00 O.upf
ATOMIC_POSITIONS angstrom
Ba 5.0567 2.3792 16.3488
Ba 3.4216 0.6779 7.7623
Ba 3.3428 -0.6779 18.6615
Ba 6.8494 0.6779 3.1370
Ba 6.7706 -0.6779 14.0362
Ba 5.1355 -2.3792 5.4496
Tm 5.0415 2.3337 12.4387
Tm 5.0720 2.3337 20.2590
Tm 3.4640 0.7323 1.1400
Tm 3.3950 0.6858 4.2348
Tm 3.3162 -0.6858 15.1341
Tm 3.3852 -0.7323 12.0393
Tm 6.8070 0.7323 9.7592
Tm 6.8760 0.6858 6.6644
Tm 6.7972 -0.6858 17.5636
Tm 6.7283 -0.7323 20.6584
Tm 5.1202 -2.3337 1.5395
Tm 5.1508 -2.3337 9.3597
O 3.2799 1.9943 19.0862
O 1.3909 0.3492 21.7351
O 2.1686 0.7105 16.3066
O 4.5419 2.0193 2.6929
O 1.4697 -0.3492 10.8359
O 5.7291 2.0193 8.2064
O 3.8345 0.9041 13.5032
O 2.2473 -0.7105 5.4073
O 6.8336 1.9943 13.6115
O 5.1355 0.2797 5.4496
O 6.2789 0.9041 19.1945
O 5.1749 0.0000 0.0000
O 5.0961 0.0000 10.8992
O 3.9133 -0.9041 2.6040
O 5.0567 -0.2797 16.3488
O 3.3587 -1.9943 8.1870
O 7.9449 0.7105 16.3911
O 6.3577 -0.9041 8.2953
O 4.4631 -2.0193 13.5921
O 8.7226 0.3492 10.9626
O 5.6503 -2.0193 19.1056
O 8.0236 -0.7105 5.4919
O 8.8013 -0.3492 0.0633
O 6.9123 -1.9943 2.7122
CELL_PARAMETERS angstrom
5.1749 -3.0571 0.0000
5.1749 3.0571 0.0000
-0.1575 0.0000 21.7985


# 14
! Ba5Tm8Zn4O21 PBE relaxed; values from VASP
! **Calculated volume**: 14.20 A^3/atom
! **Symmetry**: I4/m
! **Energy of formation from the pure elements**: -124.80 eV/f.u.
&SYSTEM
  ibrav = 0, nat = 38, ntyp = 4
/
ATOMIC_SPECIES
Ba 137.33 Ba.upf
Tm 168.93 Tm.upf
Zn 65.41 Zn.upf
O 16.00 O.upf
ATOMIC_POSITIONS angstrom
Ba 0.0000 0.0000 0.0000
Ba 6.3822 1.9297 0.0000
Ba 4.9482 -0.4957 2.8509
Ba 1.9297 7.3736 0.0000
Ba 0.4957 4.9482 2.8509
Tm 10.3495 2.3169 0.0000
Tm 2.3169 3.4063 0.0000
Tm 8.0982 4.9328 0.0000
Tm 4.9328 5.6576 0.0000
Tm 1.9451 1.2203 2.8509
Tm -1.2203 1.9451 2.8509
Tm 4.5610 3.4716 2.8509
Tm -3.4716 4.5610 2.8509
Zn 3.4300 0.5574 0.0000
Zn 6.3205 -3.4479 2.8509
Zn 0.5574 10.3258 0.0000
Zn 3.4479 6.3205 2.8509
O 4.8280 -3.3548 1.4261
O 8.6607 0.5476 0.0000
O 6.2083 4.4410 -1.4169
O 10.2327 -2.0499 1.4248
O 2.4369 -0.6695 1.4340
O 4.4410 7.5474 -1.4169
O 0.5476 5.0951 0.0000
O 3.5231 2.0499 1.4248
O 0.6695 2.4369 1.4340
O 8.9278 3.3548 1.4261
O 0.0000 0.0000 2.8509
O -2.0499 3.5231 1.4248
O 6.2083 4.4410 1.4169
O 3.3548 4.8280 1.4261
O 6.3303 1.7828 2.8509
O 2.4369 -0.6695 4.2677
O 4.4410 7.5474 1.4169
O -3.3548 8.9278 1.4261
O 0.6695 2.4369 4.2677
O -1.7828 6.3303 2.8509
O 2.0499 10.2327 1.4248
CELL_PARAMETERS angstrom
-6.8779 6.8779 2.8509
6.8779 -6.8779 2.8509
6.8779 6.8779 -2.8509